Record 1
First-principles (GGA-PBE) data for crystalline MnFeB at its relaxed geometry, as listed in the Materials Project.

Lattice parameters (Å, degrees): 4.2064 7.1541 7.1977 90.00 90.00 90.00
Closest atoms and distances in Å follow each position.
Space group Fmmm (No. 69)
Asymmetric unit:
Mn 0.0000 0.1629 0.0000  4 B 2.18, 1 Mn 2.33
Fe 0.0000 0.0000 0.3333  4 B 2.16, 1 Fe 2.40
B 0.2500 0.2500 0.2500  2 B 2.10, 4 Fe 2.16, 4 Mn 2.18

E_form, eV per atom: -0.305
Final energy, eV per atom: -8.409

***

Record 2
First-principles (GGA-PBE) data for crystalline MnFe4B2P at its relaxed geometry, as listed in the Materials Project.

Lattice parameters (Å, degrees): 5.4991 5.4991 10.2145 90.00 90.00 90.00
Closest atoms and distances in Å follow each position.
Space group I4/mcm (No. 140)
Asymmetric unit:
Mn 0.0000 0.0000 0.0000  4 B 2.20
Fe 0.1693 0.3307 0.1392  3 B 2.15-2.18, 2 P 2.34
B 0.1184 0.3816 0.5000  1 B 1.84
P 0.0000 0.0000 0.2500  8 Fe 2.34, 2 Mn 2.55

E_form, eV per atom: -0.405
Final energy, eV per atom: -8.131

***

Record 3
First-principles (GGA-PBE) data for crystalline MnFe4SiB2 at its relaxed geometry, as listed in the Materials Project.

Lattice parameters (Å, degrees): 5.5305 5.5305 10.2775 90.00 90.00 90.00
Closest atoms and distances in Å follow each position.
Space group I4/mcm (No. 140)
Asymmetric unit:
Mn 0.0000 0.0000 0.0000  4 B 2.21
Fe 0.1687 0.3313 0.1361  3 B 2.14-2.17, 2 Si 2.37
Si 0.0000 0.0000 0.2500  8 Fe 2.37, 2 Mn 2.57
B 0.1192 0.3808 0.5000  1 B 1.86

E_form, eV per atom: -0.368
Final energy, eV per atom: -8.096

***

Record 4
First-principles (GGA-PBE) data for crystalline FeB2Mo2 at its relaxed geometry, as listed in the Materials Project.

Lattice parameters (Å, degrees): 5.7759 5.7759 3.1664 90.00 90.00 90.00
Closest atoms and distances in Å follow each position.
Space group P4/mbm (No. 127)
Asymmetric unit:
Fe 0.0000 0.0000 0.0000  4 B 2.33
B 0.1131 0.3869 0.0000  1 B 1.85
Mo 0.1776 0.6776 0.5000  6 B 2.33-2.34

E_form, eV per atom: -0.438
Final energy, eV per atom: -9.143

***

Question: Among the records above, which one has the highest final energy?
Answer: MnFe4SiB2